This record from the Materials Project database describes a relaxed structure of Fe4P3O12. The functional is GGA+U.

## Properties
calculated formation energy: -43.00 eV/f.u.
final energy: -135.2 eV per formula unit
space-group type: C2/c (15)
total moment: 34.00 μB per cell

Lattice parameters (Å, degrees): 8.721 8.721 6.585 106.18 106.18 92.87
Positions (direct):
Fe  0.005  0.995  0.750
Fe  0.139  0.444  0.881
Fe  0.254  0.746  0.750
Fe  0.444  0.139  0.381
Fe  0.556  0.861  0.619
Fe  0.746  0.254  0.250
Fe  0.861  0.556  0.119
Fe  0.995  0.005  0.250
P  0.151  0.378  0.371
P  0.208  0.792  0.250
P  0.378  0.151  0.871
P  0.622  0.849  0.129
P  0.792  0.208  0.750
P  0.849  0.622  0.629
O  0.011  0.239  0.329
O  0.026  0.771  0.238
O  0.093  0.461  0.189
O  0.173  0.502  0.603
O  0.229  0.974  0.262
O  0.239  0.011  0.829
O  0.239  0.686  0.038
O  0.307  0.308  0.367
O  0.308  0.307  0.867
O  0.314  0.761  0.462
O  0.461  0.093  0.689
O  0.498  0.827  0.897
O  0.502  0.173  0.103
O  0.539  0.907  0.311
O  0.686  0.239  0.538
O  0.692  0.693  0.133
O  0.693  0.692  0.633
O  0.761  0.314  0.962
O  0.761  0.989  0.171
O  0.771  0.026  0.738
O  0.827  0.498  0.397
O  0.907  0.539  0.811
O  0.974  0.229  0.762
O  0.989  0.761  0.671